Here is crystalline HoCuSn at its relaxed geometry from Materials Project. Energies are from PBE.

Geometry as POSCAR:
```
HoCuSn
1.0
4.521 0.000 0.000
-2.260 3.915 0.000
0.000 0.000 7.220
Ho Cu Sn
2 2 2
Direct
0.000 0.000 0.000
0.000 0.000 0.500
0.333 0.667 0.317
0.667 0.333 0.817
0.333 0.667 0.730
0.667 0.333 0.230
```

## Properties
DFT formation energy	-596	meV/atom
space-group type	P6_3mc
total DFT energy (no corrections)	-4.827	eV per atom